[1]
# SnH16C4Br6N2

An optimized crystal structure of SnH16C4Br6N2 (PBE, the Materials Project).

Cell lengths 7.7772, 15.1398, 7.7425 Å; angles 90.00, 90.00, 90.00 degrees
Closest atoms and distances in Å follow each position.
Space group Pnnm (No. 58)
Inequivalent atoms, fractional coordinates:
Sn 0.0000 0.0000 0.0000 (multiplicity 2)  6 Br 2.65-2.66
H 0.0371 0.2181 0.5000 (multiplicity 4)  1 C 1.09
H 0.0814 0.3295 0.1160 (multiplicity 8)  1 C 1.09
H 0.0810 0.4320 0.0000 (multiplicity 4)  1 C 1.09
H 0.1384 0.8995 0.3937 (multiplicity 8)  1 N 1.04
H 0.1456 0.7391 0.3845 (multiplicity 8)  1 C 1.09
C 0.1029 0.7746 0.5000 (multiplicity 4)  3 H 1.09
C 0.1263 0.3637 0.0000 (multiplicity 4)  3 H 1.09
Br 0.1833 0.8521 0.0000 (multiplicity 4)  1 Sn 2.65
Br 0.1995 0.0659 0.2470 (multiplicity 8)  1 Sn 2.66, 2 H 2.80-2.91
N 0.1819 0.8644 0.5000 (multiplicity 4)  2 H 1.04

Calculated values
M_tot = 0.003 μB per atom
E_tot = -0.1681 Ha/atom

[2]
# SnH46C18Br4N2

An optimized crystal structure of SnH46C18Br4N2 (PBE, the Materials Project).

Cell lengths 10.8919, 10.7983, 16.6095 Å; angles 90.00, 127.52, 90.00 degrees
Closest atoms and distances in Å follow each position.
Space group P2_1/c (No. 14)
Inequivalent atoms, fractional coordinates:
Sn 0.0000 0.0000 0.0000 (multiplicity 2)  2 C 2.15
H 0.0053 0.1518 0.3210 (multiplicity 4)  1 C 1.10
H 0.0282 0.0648 0.4198 (multiplicity 4)  1 C 1.10
H 0.0579 0.5137 0.6818 (multiplicity 4)  1 C 1.09
H 0.0824 0.1246 0.7013 (multiplicity 4)  1 C 1.10
H 0.1256 0.0187 0.3704 (multiplicity 4)  1 C 1.10
H 0.1331 0.0228 0.8015 (multiplicity 4)  1 C 1.10
H 0.1776 0.5272 0.0994 (multiplicity 4)  1 C 1.10
H 0.2032 0.1321 0.6331 (multiplicity 4)  1 C 1.10
H 0.2047 0.5981 0.6856 (multiplicity 4)  1 C 1.09
H 0.2119 0.6768 0.3514 (multiplicity 4)  1 C 1.10
H 0.2132 0.0690 0.1943 (multiplicity 4)  1 C 1.09
H 0.2359 0.6798 0.2037 (multiplicity 4)  1 C 1.10
H 0.2648 0.2463 0.3219 (multiplicity 4)  1 C 1.10
H 0.3442 0.7153 0.8634 (multiplicity 4)  1 C 1.10
H 0.3572 0.2433 0.2626 (multiplicity 4)  1 C 1.10
H 0.3799 0.0594 0.5967 (multiplicity 4)  1 C 1.10
H 0.3876 0.0539 0.9046 (multiplicity 4)  1 C 1.10
H 0.4145 0.6472 0.4352 (multiplicity 4)  1 C 1.10
H 0.4328 0.6354 0.2954 (multiplicity 4)  1 C 1.10
H 0.4675 0.5507 0.1962 (multiplicity 4)  1 C 1.10
H 0.4687 0.2328 0.3962 (multiplicity 4)  1 C 1.10
H 0.4904 0.1109 0.7240 (multiplicity 4)  1 C 1.10
H 0.4963 0.5571 0.6371 (multiplicity 4)  1 C 1.10
C 0.0166 0.0577 0.3497 (multiplicity 4)  3 H 1.10
C 0.1129 0.0286 0.7282 (multiplicity 4)  2 H 1.10
C 0.1379 0.5123 0.6629 (multiplicity 4)  3 H 1.09
C 0.2578 0.0405 0.6576 (multiplicity 4)  2 H 1.10
C 0.3167 0.6301 0.2755 (multiplicity 4)  2 H 1.10
C 0.3205 0.6853 0.3610 (multiplicity 4)  3 H 1.10
C 0.3665 0.2230 0.8285 (multiplicity 4)  3 H 1.10
C 0.3911 0.0840 0.8430 (multiplicity 4)  2 H 1.10
C 0.4090 0.0393 0.6714 (multiplicity 4)  3 H 1.10
Br 0.1262 0.7256 0.4934 (multiplicity 4)  1 Sn 2.83, 5 H 3.05-3.10
Br 0.2384 0.1341 0.0180 (multiplicity 4)  1 Sn 2.83, 2 H 2.98-3.05
N 0.2698 0.0059 0.7514 (multiplicity 4)  4 C 1.52-1.53

Calculated values
M_tot = 0.000 μB per atom
E_tot = -0.1883 Ha/atom

[3]
# SnH10C3Br3N

An optimized crystal structure of SnH10C3Br3N (PBE, the Materials Project).

Cell lengths 6.8610, 13.6104, 6.9865 Å; angles 90.00, 95.81, 90.00 degrees
Closest atoms and distances in Å follow each position.
Space group P2_1 (No. 4)
Inequivalent atoms, fractional coordinates:
Sn 0.0656 0.0000 0.0348 (multiplicity 2)  3 Br 2.69-2.70
H 0.2080 0.7335 0.5495 (multiplicity 2)  1 C 1.10
H 0.2745 0.6718 0.3376 (multiplicity 2)  1 C 1.10
H 0.2810 0.2163 0.6088 (multiplicity 2)  1 C 1.09
H 0.3206 0.3301 0.7386 (multiplicity 2)  1 C 1.10
H 0.3644 0.8412 0.3545 (multiplicity 2)  1 N 1.04
H 0.3700 0.4023 0.4309 (multiplicity 2)  1 C 1.10
H 0.3730 0.2888 0.2999 (multiplicity 2)  1 C 1.09
H 0.4166 0.6533 0.5664 (multiplicity 2)  1 C 1.09
H 0.4175 0.8689 0.6865 (multiplicity 2)  1 C 1.09
H 0.4569 0.2218 0.8167 (multiplicity 2)  1 C 1.09
C 0.3295 0.7056 0.4748 (multiplicity 2)  3 H 1.09-1.10
C 0.3887 0.2625 0.6923 (multiplicity 2)  3 H 1.09-1.10
C 0.4616 0.3414 0.3892 (multiplicity 2)  3 H 1.09-1.10
Br 0.0608 0.8037 0.9892 (multiplicity 2)  1 Sn 2.69
Br 0.0643 0.9915 0.4210 (multiplicity 2)  1 Sn 2.70, 1 H 2.97
Br 0.4595 0.0137 0.0606 (multiplicity 2)  1 Sn 2.70
N 0.4550 0.7908 0.4315 (multiplicity 2)  1 H 1.04

Calculated values
M_tot = 0.000 μB per atom
E_tot = -0.1737 Ha/atom